A relaxed structure of Li2SnP5O15, computed with PBE.

CIF file:
```
data_Li2SnP5O15
_chemical_formula_sum 'Li4 Sn2 P10 O30'
_cell_length_a 5.4173
_cell_length_b 13.7606
_cell_length_c 8.9849
_cell_angle_alpha 90.00
_cell_angle_beta 102.45
_cell_angle_gamma 90.00
_symmetry_space_group_name_H-M 'P 1 21/m 1'
_symmetry_Int_Tables_number 11
_symmetry_space_group_name_Hall '-P 2yb'
loop_
_atom_site_label
_atom_site_type_symbol
_atom_site_fract_x
_atom_site_fract_y
_atom_site_fract_z
_atom_site_occupancy
Li1 Li 0.0575 0.1281 0.0787 1
Sn1 Sn 0.5000 0.0000 0.5000 1
P1 P 0.0070 0.1442 0.5160 1
P2 P 0.3341 0.0789 0.8211 1
P3 P 0.4587 0.7500 0.9858 1
O1 O 0.0747 0.2500 0.4625 1
O2 O 0.1234 0.0746 0.4194 1
O3 O 0.1550 0.1441 0.6900 1
O4 O 0.1801 0.0434 0.9291 1
O5 O 0.1974 0.7500 0.8869 1
O6 O 0.2724 0.6375 0.4903 1
O7 O 0.3034 0.2500 0.0748 1
O8 O 0.4602 0.6586 0.1022 1
O9 O 0.4756 0.0058 0.7449 1
```

Output
The formation energy is -2514 meV per atom. The calculation puts the energy with MP2020 corrections at -333.88 eV for the cell shown.


A relaxed structure of LiSnP3O9, computed with PBE.

CIF file:
```
data_LiSnP3O9
_chemical_formula_sum 'Li4 Sn4 P12 O36'
_cell_length_a 9.7791
_cell_length_b 10.4681
_cell_length_c 10.4830
_cell_angle_alpha 112.83
_cell_angle_beta 103.88
_cell_angle_gamma 107.66
_symmetry_space_group_name_H-M 'P -1'
_symmetry_Int_Tables_number 2
_symmetry_space_group_name_Hall '-P 1'
loop_
_atom_site_label
_atom_site_type_symbol
_atom_site_fract_x
_atom_site_fract_y
_atom_site_fract_z
_atom_site_occupancy
Li1 Li 0.1624 0.0641 0.4932 1
Li2 Li 0.1629 0.8809 0.6318 1
Sn1 Sn 0.2346 0.2468 0.2752 1
Sn2 Sn 0.3758 0.6727 0.7848 1
P1 P 0.0080 0.1481 0.8775 1
P2 P 0.0595 0.3057 0.7005 1
P3 P 0.1899 0.6117 0.4038 1
P4 P 0.2922 0.8978 0.0857 1
P5 P 0.4651 0.2065 0.8267 1
P6 P 0.4910 0.6485 0.3587 1
O1 O 0.0067 0.8465 0.4453 1
O2 O 0.0618 0.0064 0.2653 1
O3 O 0.0760 0.6400 0.2868 1
O4 O 0.0978 0.2821 0.8458 1
O5 O 0.1177 0.1694 0.0194 1
O6 O 0.1300 0.8062 0.0921 1
O7 O 0.1346 0.4425 0.3458 1
O8 O 0.2052 0.4346 0.7294 1
O9 O 0.2106 0.7140 0.5623 1
O10 O 0.2771 0.8206 0.9241 1
O11 O 0.3057 0.0864 0.7042 1
O12 O 0.3410 0.0685 0.1634 1
O13 O 0.3500 0.6872 0.3870 1
O14 O 0.3576 0.2202 0.5148 1
O15 O 0.4087 0.8626 0.1910 1
O16 O 0.4611 0.4866 0.3259 1
O17 O 0.4719 0.6508 0.2021 1
O18 O 0.4828 0.2764 0.9881 1
```

Output
The formation energy is -2516 meV per atom. The calculation puts the energy with MP2020 corrections at -407.66 eV for the cell shown.


A relaxed structure of LiSn4P3O12, computed with PBE.

CIF file:
```
data_LiSn4P3O12
_chemical_formula_sum 'Li4 Sn16 P12 O48'
_cell_length_a 7.3162
_cell_length_b 15.9001
_cell_length_c 10.6942
_cell_angle_alpha 90.00
_cell_angle_beta 90.00
_cell_angle_gamma 90.00
_symmetry_space_group_name_H-M 'P n m a'
_symmetry_Int_Tables_number 62
_symmetry_space_group_name_Hall '-P 2ac 2n'
loop_
_atom_site_label
_atom_site_type_symbol
_atom_site_fract_x
_atom_site_fract_y
_atom_site_fract_z
_atom_site_occupancy
Li1 Li 0.0163 0.2500 0.2355 1
Sn1 Sn 0.1380 0.5995 0.9319 1
Sn2 Sn 0.1611 0.6055 0.3456 1
P1 P 0.0265 0.2500 0.9026 1
P2 P 0.1452 0.5887 0.6372 1
O1 O 0.0052 0.6175 0.5359 1
O2 O 0.0407 0.7500 0.9565 1
O3 O 0.0478 0.6676 0.1569 1
O4 O 0.0876 0.5070 0.7054 1
O5 O 0.1619 0.6593 0.7403 1
O6 O 0.1683 0.0784 0.0677 1
O7 O 0.2391 0.2500 0.8923 1
```

Output
The formation energy is -2275 meV per atom. The polymorph energy (0 for the lowest one) is 0.0527 eV per atom. The calculation puts the energy with MP2020 corrections at -556.25 eV for the cell shown.


A relaxed structure of Li14Sn9P16O56, computed with PBE.

CIF file:
```
data_Li14Sn9P16O56
_chemical_formula_sum 'Li14 Sn9 P16 O56'
_cell_length_a 10.2582
_cell_length_b 11.4916
_cell_length_c 13.1350
_cell_angle_alpha 113.89
_cell_angle_beta 98.83
_cell_angle_gamma 103.11
_symmetry_space_group_name_H-M 'P -1'
_symmetry_Int_Tables_number 2
_symmetry_space_group_name_Hall '-P 1'
loop_
_atom_site_label
_atom_site_type_symbol
_atom_site_fract_x
_atom_site_fract_y
_atom_site_fract_z
_atom_site_occupancy
Li1 Li 0.0440 0.4660 0.0875 1
Li2 Li 0.0674 0.4267 0.6346 1
Li3 Li 0.1523 0.8604 0.3259 1
Li4 Li 0.3281 0.3521 0.3751 1
Li5 Li 0.3483 0.6356 0.1770 1
Li6 Li 0.4371 0.0706 0.8646 1
Li7 Li 0.4559 0.0293 0.4121 1
Sn1 Sn 0.0000 0.0000 0.0000 1
Sn2 Sn 0.0766 0.0592 0.7754 1
Sn3 Sn 0.1910 0.7884 0.6012 1
Sn4 Sn 0.3240 0.7060 0.9022 1
Sn5 Sn 0.4455 0.4548 0.6992 1
P1 P 0.0228 0.6940 0.7720 1
P2 P 0.1518 0.3799 0.8576 1
P3 P 0.1585 0.1800 0.4881 1
P4 P 0.2249 0.5453 0.3353 1
P5 P 0.2739 0.9403 0.1657 1
P6 P 0.3321 0.3108 0.0121 1
P7 P 0.3572 0.1285 0.6431 1
P8 P 0.4959 0.8050 0.7238 1
O1 O 0.0318 0.2432 0.7872 1
O2 O 0.0368 0.8416 0.8089 1
O3 O 0.0435 0.2431 0.5173 1
O4 O 0.0638 0.6634 0.8727 1
O5 O 0.0982 0.6355 0.6782 1
O6 O 0.0999 0.0332 0.3896 1
O7 O 0.1200 0.4753 0.9642 1
O8 O 0.1200 0.9180 0.1172 1
O9 O 0.1443 0.3847 0.2888 1
O10 O 0.1573 0.6182 0.4292 1
O11 O 0.1897 0.4398 0.7777 1
O12 O 0.2001 0.5820 0.2366 1
O13 O 0.2023 0.2107 0.0085 1
O14 O 0.2190 0.1650 0.6039 1
O15 O 0.2784 0.2698 0.4711 1
O16 O 0.2882 0.3441 0.9025 1
O17 O 0.3034 0.9024 0.2641 1
O18 O 0.3233 0.0727 0.7275 1
O19 O 0.3422 0.1017 0.2171 1
O20 O 0.3514 0.8803 0.0748 1
O21 O 0.3732 0.5482 0.3814 1
O22 O 0.3784 0.0244 0.5350 1
O23 O 0.3890 0.4490 0.1207 1
O24 O 0.4132 0.8475 0.8146 1
O25 O 0.4390 0.8315 0.6226 1
O26 O 0.4483 0.2481 0.9834 1
O27 O 0.4786 0.2627 0.7037 1
O28 O 0.4910 0.3349 0.3145 1
```

Output
The formation energy is -2480 meV per atom. The calculation puts the energy with MP2020 corrections at -662.08 eV for the cell shown.


A relaxed structure of LiSn2P3O10, computed with PBE.

CIF file:
```
data_LiSn2P3O10
_chemical_formula_sum 'Li4 Sn8 P12 O40'
_cell_length_a 12.3086
_cell_length_b 7.8491
_cell_length_c 10.3081
_cell_angle_alpha 90.00
_cell_angle_beta 101.51
_cell_angle_gamma 90.00
_symmetry_space_group_name_H-M 'P 1 21/c 1'
_symmetry_Int_Tables_number 14
_symmetry_space_group_name_Hall '-P 2ybc'
loop_
_atom_site_label
_atom_site_type_symbol
_atom_site_fract_x
_atom_site_fract_y
_atom_site_fract_z
_atom_site_occupancy
Li1 Li 0.1599 0.1539 0.1173 1
Sn1 Sn 0.1279 0.5072 0.9327 1
Sn2 Sn 0.4247 0.6055 0.8028 1
P1 P 0.0545 0.0947 0.8015 1
P2 P 0.2676 0.5639 0.4256 1
P3 P 0.3487 0.2088 0.4686 1
O1 O 0.0619 0.5160 0.7095 1
O2 O 0.0709 0.1495 0.6652 1
O3 O 0.0835 0.2287 0.9121 1
O4 O 0.1399 0.5629 0.3489 1
O5 O 0.2704 0.5769 0.5715 1
O6 O 0.2954 0.0696 0.3638 1
O7 O 0.2953 0.2041 0.5879 1
O8 O 0.3192 0.7010 0.3546 1
O9 O 0.3197 0.1128 0.8870 1
O10 O 0.4747 0.1879 0.4908 1
```

Output
The formation energy is -2427 meV per atom. The polymorph energy (0 for the lowest one) is 0.0000 eV per atom. The calculation puts the energy with MP2020 corrections at -457.91 eV for the cell shown.


A relaxed structure of Li2SnP4O12, computed with PBE.

CIF file:
```
data_Li2SnP4O12
_chemical_formula_sum 'Li8 Sn4 P16 O48'
_cell_length_a 9.2484
_cell_length_b 15.8263
_cell_length_c 7.3914
_cell_angle_alpha 90.00
_cell_angle_beta 91.79
_cell_angle_gamma 90.00
_symmetry_space_group_name_H-M 'C 1 2/c 1'
_symmetry_Int_Tables_number 15
_symmetry_space_group_name_Hall '-C 2yc'
loop_
_atom_site_label
_atom_site_type_symbol
_atom_site_fract_x
_atom_site_fract_y
_atom_site_fract_z
_atom_site_occupancy
Li1 Li 0.1425 0.1562 0.1822 1
Sn1 Sn 0.0000 0.3691 0.7500 1
P1 P 0.1183 0.1638 0.6162 1
P2 P 0.1503 0.4235 0.1776 1
O1 O 0.0000 0.1260 0.7500 1
O2 O 0.0000 0.3838 0.2500 1
O3 O 0.0597 0.1508 0.4263 1
O4 O 0.1403 0.4819 0.6593 1
O5 O 0.1698 0.2499 0.6785 1
O6 O 0.1932 0.3726 0.0148 1
O7 O 0.2440 0.0949 0.6504 1
```

Output
The formation energy is -2527 meV per atom. The polymorph energy (0 for the lowest one) is 0.0343 eV per atom. The calculation puts the energy with MP2020 corrections at -547.46 eV for the cell shown.


What did the sixth record say?
A relaxed structure of Li2SnP4O12, computed with PBE.

CIF file:
```
data_Li2SnP4O12
_chemical_formula_sum 'Li8 Sn4 P16 O48'
_cell_length_a 9.2484
_cell_length_b 15.8263
_cell_length_c 7.3914
_cell_angle_alpha 90.00
_cell_angle_beta 91.79
_cell_angle_gamma 90.00
_symmetry_space_group_name_H-M 'C 1 2/c 1'
_symmetry_Int_Tables_number 15
_symmetry_space_group_name_Hall '-C 2yc'
loop_
_atom_site_label
_atom_site_type_symbol
_atom_site_fract_x
_atom_site_fract_y
_atom_site_fract_z
_atom_site_occupancy
Li1 Li 0.1425 0.1562 0.1822 1
Sn1 Sn 0.0000 0.3691 0.7500 1
P1 P 0.1183 0.1638 0.6162 1
P2 P 0.1503 0.4235 0.1776 1
O1 O 0.0000 0.1260 0.7500 1
O2 O 0.0000 0.3838 0.2500 1
O3 O 0.0597 0.1508 0.4263 1
O4 O 0.1403 0.4819 0.6593 1
O5 O 0.1698 0.2499 0.6785 1
O6 O 0.1932 0.3726 0.0148 1
O7 O 0.2440 0.0949 0.6504 1
```

Output
The formation energy is -2527 meV per atom. The polymorph energy (0 for the lowest one) is 0.0343 eV per atom. The calculation puts the energy with MP2020 corrections at -547.46 eV for the cell shown.


- Which of these has the lowest energy with MP2020 corrections?
  Li14Sn9P16O56